Entry 1:
A plane-wave DFT calculation with GGA-PBE was carried out for an optimized crystal structure of Li6FeS4.

For the formation energy, the calculation gives -1.142 eV per atom. For the magnetization, the calculation gives 0.85 Bohr magnetons per cell. The calculation puts the total DFT energy (no corrections) at -4.2747 eV per atom. Its energy above the lowest structure with this stoichiometry is 140 meV/atom.

The structure belongs to space group P6_3mc (No. 186); the cell edges are 8.0771, 8.0771 and 6.2865 Å and the angles 90.00°, 90.00° and 120.00°. The inequivalent atoms are Li at (0.0794, 0.5397, 0.0000), Li at (0.1524, 0.3047, 0.6396), Fe at (0.3333, 0.6667, 0.3663), S at (0.1784, 0.3567, 0.2467) and S at (0.3333, 0.6667, 0.7327).

Entry 2:
A plane-wave DFT calculation with GGA-PBE was carried out for an optimized crystal structure of Li6FeS4.

For the formation energy, the calculation gives -1.209 eV per atom. For the magnetization, the calculation gives 7.99 Bohr magnetons per cell. The calculation puts the total DFT energy (no corrections) at -4.3414 eV per atom. Its energy above the lowest structure with this stoichiometry is 74 meV/atom.

The structure belongs to space group Imm2 (No. 44); the cell edges are 3.7110, 12.3330 and 7.0066 Å and the angles 90.00°, 90.00° and 90.00°. The inequivalent atoms are Li at (0.0000, 0.1234, 0.0000), Li at (0.0000, 0.3064, 0.2284), Li at (0.0000, 0.3687, 0.8365), Fe at (0.0000, 0.0000, 0.5957), S at (0.0000, 0.0000, 0.2721), S at (0.0000, 0.2404, 0.5456) and S at (0.0000, 0.5000, 0.2587).

Q: Among the records above, which one has the lowest magnetization?
A: number 1

Q: The lowest magnetization belongs to which entry?
A: number 1

Q: Which formula does entry 2 have?
A: Li6FeS4

Q: Which of these has the highest total DFT energy (no corrections)?
A: number 1